# 1
Below is a relaxed La10Ga3Co7 crystal, with properties calculated at the PBE level.

Structure (extended XYZ):
```
40
Lattice="4.034 0.000 0.000 0.000 10.002 0.000 0.000 0.000 23.893" Properties=species:S:1:pos:R:3 pbc="T T T"
La 0.000 0.012 0.000
La 0.000 1.527 15.270
La 0.000 1.942 8.403
La 0.000 3.602 12.050
La 0.000 3.920 4.209
La 0.000 6.082 16.155
La 0.000 6.400 0.104
La 0.000 8.060 20.349
La 0.000 8.475 3.324
La 0.000 9.990 11.946
La 2.017 1.115 5.187
La 2.017 1.344 21.002
La 2.017 2.986 1.232
La 2.017 3.473 17.936
La 2.017 4.875 9.206
La 2.017 5.127 21.153
La 2.017 6.529 5.990
La 2.017 7.016 13.178
La 2.017 8.658 9.056
La 2.017 8.887 17.134
Ga 0.000 1.030 18.590
Ga 0.000 3.170 22.650
Ga 0.000 6.832 10.704
Ga 0.000 8.972 6.644
Ga 2.017 3.970 14.572
Ga 2.017 6.032 2.625
Co 0.000 1.438 2.830
Co 0.000 3.114 20.025
Co 0.000 4.524 7.106
Co 0.000 5.479 19.052
Co 0.000 6.888 8.078
Co 0.000 8.564 14.777
Co 2.017 0.407 2.253
Co 2.017 1.816 13.194
Co 2.017 1.962 10.643
Co 2.017 3.574 6.514
Co 2.017 6.428 18.460
Co 2.017 8.040 22.590
Co 2.017 8.186 1.247
Co 2.017 9.595 14.199
```



# 2
Below is a relaxed NaZnGePS2O12 crystal, with properties calculated at the PBE level.

Structure (extended XYZ):
```
108
Lattice="7.411 -4.267 0.000 7.411 4.267 0.000 -0.220 0.000 22.077" Properties=species:S:1:pos:R:3 pbc="T T T"
Na 7.301 4.258 11.039
Na 4.885 0.056 7.364
Na 4.775 -0.056 18.402
Na 9.867 0.071 14.715
Na 9.977 -0.071 3.676
Na 7.411 -4.258 0.000
Zn -0.121 0.014 18.895
Zn -0.012 -0.014 7.856
Zn 4.913 0.064 4.191
Zn 4.803 -0.064 15.230
Zn 9.963 0.012 11.531
Zn 10.073 -0.012 0.492
Ge 0.040 -0.003 3.362
Ge -0.070 0.003 14.401
Ge 4.818 0.018 21.768
Ge 4.927 -0.018 10.730
Ge 9.823 0.156 18.083
Ge 9.933 -0.156 7.044
P 2.137 1.237 5.635
P 5.058 2.485 1.954
P 2.027 -1.237 16.673
P 4.948 -2.485 12.993
P 11.948 1.308 20.361
P 12.058 -1.308 9.322
S 5.132 3.047 16.648
S 2.703 1.211 12.975
S 7.503 1.744 5.625
S 2.813 -1.211 1.936
S 7.035 1.270 12.992
S 7.587 1.201 20.351
S 9.913 2.467 9.279
S 7.144 -1.270 1.953
S 7.697 -1.201 9.313
S 5.242 -3.047 5.609
S 7.393 -1.744 16.664
S 9.803 -2.467 20.318
O 1.493 0.687 6.866
O 5.896 3.273 17.853
O 6.388 3.381 2.080
O 1.360 0.502 13.074
O 3.502 1.031 14.158
O 4.869 1.668 3.178
O 3.673 0.975 20.426
O 4.983 1.612 16.456
O 1.470 -0.502 2.035
O 3.531 0.670 5.488
O 3.307 0.575 11.723
O 7.142 2.791 13.065
O 4.724 1.368 9.466
O 5.349 1.609 0.631
O 1.384 -0.687 17.905
O 7.261 2.550 6.803
O 7.421 2.640 20.202
O 8.782 3.363 9.124
O 8.550 3.221 15.344
O 7.758 2.579 4.367
O 6.188 1.101 11.722
O 3.417 -0.575 0.684
O 3.421 -0.670 16.526
O 6.381 0.834 5.457
O 6.418 0.735 14.177
O 3.612 -1.031 3.119
O 6.221 0.535 20.416
O 3.783 -0.975 9.388
O 9.687 1.686 10.483
O 8.358 0.930 21.543
O 4.614 -1.368 20.504
O 9.986 1.625 1.763
O 8.794 0.947 5.745
O 9.534 1.427 16.755
O 8.364 0.691 12.807
O 6.331 -0.535 9.378
O 8.177 0.559 19.086
O 10.170 1.621 8.034
O 4.759 -1.668 14.216
O 6.528 -0.735 3.138
O 6.271 -0.834 16.496
O 5.092 -1.612 5.417
O 5.240 -1.609 11.669
O 6.298 -1.101 0.683
O 11.045 1.141 19.038
O 8.286 -0.559 8.047
O 8.474 -0.691 1.768
O 11.158 0.870 12.833
O 8.468 -0.930 10.504
O 11.327 0.700 21.575
O 11.279 0.567 5.709
O 8.684 -0.947 16.784
O 6.005 -3.273 6.815
O 7.151 -2.550 17.842
O 7.252 -2.791 2.026
O 9.644 -1.427 5.716
O 7.531 -2.640 9.163
O 13.334 0.737 20.153
O 6.278 -3.381 13.119
O 7.648 -2.579 15.406
O 11.169 -0.567 16.748
O 13.240 0.550 4.364
O 9.577 -1.686 21.522
O 11.436 -0.700 10.536
O 11.268 -0.870 1.794
O 9.876 -1.625 12.802
O 10.060 -1.621 19.073
O 11.155 -1.141 8.000
O 13.130 -0.550 15.403
O 8.660 -3.221 4.306
O 8.673 -3.363 20.163
O 13.444 -0.737 9.114
```



# 3
Below is a relaxed Hf9Mo4As crystal, with properties calculated at the PBE level.

Structure (extended XYZ):
```
28
Lattice="8.680 0.000 0.000 -4.340 7.517 0.000 0.000 0.000 8.687" Properties=species:S:1:pos:R:3 pbc="T T T"
Hf -1.654 4.056 2.172
Hf 0.000 2.946 4.720
Hf 0.000 2.946 8.310
Hf -1.788 6.044 4.720
Hf -1.788 6.044 8.310
Hf 2.552 1.473 0.377
Hf 2.552 1.473 3.967
Hf 1.654 4.056 2.172
Hf 0.000 6.921 2.172
Hf 4.340 0.596 6.515
Hf 2.686 3.461 6.515
Hf 1.788 6.044 4.720
Hf 1.788 6.044 8.310
Hf 6.128 1.473 0.377
Hf 6.128 1.473 3.967
Hf 4.340 4.570 0.377
Hf 4.340 4.570 3.967
Hf 5.994 3.461 6.515
Mo 0.000 0.000 0.000
Mo 0.000 0.000 4.343
Mo 0.000 1.654 2.172
Mo -2.907 6.690 2.172
Mo 1.433 0.827 6.515
Mo 2.907 6.690 2.172
Mo 7.247 0.827 6.515
Mo 4.340 5.862 6.515
As 0.000 5.011 6.515
As 4.340 2.506 2.172
```



# 4
Below is a relaxed Li2ZnPb crystal, with properties calculated at the PBE level.

Structure (extended XYZ):
```
4
Lattice="0.000 3.347 3.347 3.347 0.000 3.347 3.347 3.347 0.000" Properties=species:S:1:pos:R:3 pbc="T T T"
Li 0.000 0.000 0.000
Li 1.674 1.674 1.674
Zn 3.347 3.347 3.347
Pb 5.021 5.021 5.021
```



# 5
Below is a relaxed Ca6Sn5S16 crystal, with properties calculated at the PBE level.

Structure (extended XYZ):
```
27
Lattice="-2.501 2.501 26.619 2.501 -2.501 26.619 2.501 2.501 -26.619" Properties=species:S:1:pos:R:3 pbc="T T T"
Ca 0.000 0.000 2.435
Ca 0.000 0.000 7.019
Ca 0.000 0.000 11.348
Ca 0.000 0.000 41.890
Ca 0.000 0.000 46.219
Ca 0.000 0.000 50.804
Sn 0.000 0.000 16.457
Sn 0.000 0.000 21.590
Sn 0.000 0.000 26.619
Sn 0.000 0.000 31.649
Sn 0.000 0.000 36.781
S 2.501 0.000 0.000
S 2.501 0.000 4.789
S 2.501 0.000 9.597
S 0.000 0.000 14.091
S 2.501 0.000 17.022
S 0.000 0.000 19.173
S 2.501 0.000 21.830
S 0.000 0.000 24.142
S 0.000 2.501 0.000
S 0.000 0.000 29.097
S 0.000 2.501 4.789
S 0.000 0.000 34.066
S 0.000 2.501 9.597
S 0.000 0.000 39.147
S 0.000 2.501 17.022
S 0.000 2.501 21.830
```



Number 1: ρ 6.93 Mg/m³, ΔH_f (0 K) -0.2438 eV/atom. Number 2: ρ 3.20 Mg/m³, ΔH_f (0 K) -2.0403 eV/atom. Number 3: ρ 12.10 Mg/m³, ΔH_f (0 K) -0.2643 eV/atom. Number 4: ρ 6.34 Mg/m³, ΔH_f (0 K) -0.2197 eV/atom. Number 5: ρ 3.36 Mg/m³, ΔH_f (0 K) -1.0303 eV/atom.